Material: Rb3LuF6
Method: DFT, meta-GGA r2SCAN
State: relaxed

a b c (Å): 9.4156 9.4156 9.4156
angles (deg): 90.00 90.00 90.00
Space group Fm-3m (No. 225)
Inequivalent atoms, fractional coordinates:
Rb 0.0000 0.0000 0.0000
Rb 0.2500 0.2500 0.2500
Lu 0.0000 0.0000 0.5000
F 0.0000 0.0000 0.2780

## Properties
Calculated total energy: -536.37 eV per cell


Material: LuSnF7
Method: DFT, meta-GGA r2SCAN
State: relaxed

a b c (Å): 8.6782 5.4683 11.7444
angles (deg): 90.00 117.27 90.00
Space group P2_1/c (No. 14)
Inequivalent atoms, fractional coordinates:
Lu 0.1851 0.2422 0.2655
Sn 0.2716 0.7422 0.0432
F 0.0172 0.7421 0.9446
F 0.0302 0.5802 0.7341
F 0.2544 0.5404 0.1770
F 0.2723 0.0275 0.1463
F 0.2755 0.0631 0.4532
F 0.2929 0.5462 0.4155
F 0.4748 0.2230 0.3588

## Properties
Calculated total energy: -464.76 eV per cell


Material: Sr4Lu3F17
Method: DFT, meta-GGA r2SCAN
State: relaxed

a b c (Å): 8.8409 8.8536 8.8880
angles (deg): 72.79 73.04 72.96
Space group P1 (No. 1)
Inequivalent atoms, fractional coordinates:
Sr 0.0000 0.0000 0.0000
Sr 0.0440 0.7928 0.6217
Sr 0.2029 0.3649 0.9424
Sr 0.2540 0.1672 0.5755
Sr 0.3620 0.9456 0.1995
Sr 0.4160 0.7484 0.8421
Sr 0.5744 0.3242 0.1529
Sr 0.6202 0.1058 0.7811
Lu 0.1315 0.5853 0.2767
Lu 0.4695 0.5228 0.4984
Lu 0.7003 0.8982 0.4205
Lu 0.7844 0.6621 0.0600
Lu 0.8462 0.4437 0.7278
Lu 0.9233 0.2338 0.3492
F 0.0300 0.6592 0.0606
F 0.0535 0.2675 0.8082
F 0.0572 0.5065 0.5423
F 0.0960 0.1352 0.1479
F 0.1339 0.0368 0.4347
F 0.1374 0.3372 0.2802
F 0.1712 0.9194 0.7488
F 0.2272 0.7929 0.1086
F 0.2654 0.7000 0.4017
F 0.2945 0.6035 0.7123
F 0.3150 0.0499 0.8916
F 0.3321 0.5098 0.0613
F 0.3515 0.4140 0.3758
F 0.3927 0.3139 0.6741
F 0.4518 0.1932 0.0264
F 0.4855 0.0760 0.3416
F 0.5217 0.7535 0.4742
F 0.5243 0.9719 0.6290
F 0.5708 0.5984 0.2364
F 0.5738 0.8371 0.9768
F 0.6180 0.4596 0.6757
F 0.6588 0.3167 0.4292
F 0.6662 0.5462 0.9281
F 0.7242 0.8558 0.1858
F 0.7639 0.2310 0.9058
F 0.7698 0.7069 0.6242
F 0.7978 0.1028 0.2442
F 0.8213 0.0194 0.5307
F 0.8559 0.8817 0.8673
F 0.8619 0.3947 0.1252
F 0.8700 0.5369 0.3316
F 0.9144 0.2603 0.5856
F 0.9554 0.5685 0.8421
F 0.9631 0.8038 0.3408

## Properties
Calculated total energy: -666.75 eV per cell


Material: LuZrF7
Method: DFT, meta-GGA r2SCAN
State: relaxed

a b c (Å): 5.9133 5.6052 8.0690
angles (deg): 90.00 103.01 90.00
Space group P2_1 (No. 4)
Inequivalent atoms, fractional coordinates:
Lu 0.1513 0.0000 0.1850
Zr 0.3146 0.9903 0.7268
F 0.0330 0.2982 0.0212
F 0.0408 0.2091 0.7120
F 0.1228 0.6890 0.7202
F 0.2533 0.0016 0.4726
F 0.3686 0.0019 0.9818
F 0.4183 0.2649 0.2682
F 0.4411 0.7483 0.2577

## Properties
Calculated total energy: -241.40 eV per cell


Material: Mg2NF
Method: DFT, meta-GGA r2SCAN
State: relaxed

a b c (Å): 4.1746 4.1746 10.0607
angles (deg): 90.00 90.00 90.00
Space group I4_1/amd (No. 141, origin choice 2)
Inequivalent atoms, fractional coordinates:
Mg 0.0000 0.2500 0.0874
N 0.0000 0.2500 0.8750
F 0.0000 0.2500 0.3750

## Properties
Calculated total energy: -114.88 eV per cell


Material: Na2MgPO4F
Method: DFT, meta-GGA r2SCAN
State: relaxed

a b c (Å): 5.1761 13.6523 11.6171
angles (deg): 90.00 90.00 90.00
Space group Pbcn (No. 60)
Inequivalent atoms, fractional coordinates:
Na 0.2395 0.2451 0.1714
Na 0.2450 0.3772 0.9176
Mg 0.2208 0.4869 0.6760
P 0.2067 0.1182 0.9124
O 0.0872 0.1024 0.6072
O 0.1480 0.4637 0.3475
O 0.2104 0.2817 0.3681
O 0.2352 0.3907 0.5419
F 0.0000 0.0898 0.2500
F 0.0000 0.3765 0.7500

## Properties
Calculated total energy: -581.38 eV per cell


Number 1: ΔE_f -3.546 eV per atom. Number 2: ΔE_f -3.498 eV per atom. Number 3: ΔE_f -4.392 eV per atom. Number 4: ΔE_f -4.221 eV per atom. Number 5: ΔE_f -2.032 eV per atom. Number 6: ΔE_f -2.817 eV per atom.